Record 1
The following is a DFT calculation (PBE) of an optimized crystal structure of Ba2CaP4H6O16.

Lattice parameters (Å, degrees): 10.3823 5.5576 12.4232 79.53 90.00 90.00
Fractional coordinates of all 58 atoms:
Ba 0.6551 0.8589 0.8211
Ba 0.8449 0.8589 0.3211
Ba 0.1551 0.1411 0.6789
Ba 0.3449 0.1411 0.1789
Ca 0.5000 0.0000 0.5000
Ca 0.0000 0.0000 0.0000
P 0.3062 0.7661 0.9457
P 0.1938 0.7661 0.4457
P 0.9926 0.5887 0.7983
P 0.5074 0.5887 0.2983
P 0.4926 0.4113 0.7017
P 0.0074 0.4113 0.2017
P 0.8062 0.2339 0.5543
P 0.6938 0.2339 0.0543
H 0.0336 0.7114 0.5648
H 0.3272 0.6136 0.7584
H 0.1860 0.4386 0.9391
H 0.6860 0.5614 0.5609
H 0.4664 0.7114 0.0648
H 0.8272 0.3864 0.7416
H 0.1728 0.6136 0.2584
H 0.5336 0.2886 0.9352
H 0.3140 0.4386 0.4391
H 0.8140 0.5614 0.0609
H 0.6728 0.3864 0.2416
H 0.9664 0.2886 0.4352
O 0.3050 0.8338 0.8212
O 0.9919 0.8192 0.8486
O 0.4536 0.7625 0.9810
O 0.2709 0.9306 0.5073
O 0.1950 0.8338 0.3212
O 0.5081 0.8192 0.3486
O 0.0464 0.7625 0.4810
O 0.2291 0.9306 0.0073
O 0.0583 0.6320 0.6849
O 0.5572 0.6351 0.6285
O 0.2633 0.4854 0.9812
O 0.8434 0.5285 0.7817
O 0.3434 0.4715 0.7183
O 0.7633 0.5146 0.5188
O 0.0572 0.3649 0.8715
O 0.5583 0.3680 0.8151
O 0.4417 0.6320 0.1849
O 0.9428 0.6351 0.1285
O 0.2367 0.4854 0.4812
O 0.6566 0.5285 0.2817
O 0.1566 0.4715 0.2183
O 0.7367 0.5146 0.0188
O 0.4428 0.3649 0.3715
O 0.9417 0.3680 0.3151
O 0.7709 0.0694 0.9927
O 0.9536 0.2375 0.5190
O 0.4919 0.1808 0.6514
O 0.8050 0.1662 0.6788
O 0.7291 0.0694 0.4927
O 0.5464 0.2375 0.0190
O 0.0081 0.1808 0.1514
O 0.6950 0.1662 0.1788

## Properties
The value obtained for the total energy is -6.5636 eV/atom. The value obtained for the formation energy is -2.563 eV per atom. As for the total energy after the MP2020 corrections: -6.94 eV/atom. The space group is P2_1/c.

***

Record 2
The following is a DFT calculation (PBE) of an optimized crystal structure of Nd2Mn3Cu9P7.

Lattice parameters (Å, degrees): 9.5220 9.5220 3.8266 90.00 90.00 120.00
Fractional coordinates of all 21 atoms:
Nd 0.3333 0.6667 0.0000
Nd 0.0000 0.0000 0.5000
Mn 0.7528 0.2050 0.5000
Mn 0.4522 0.2472 0.5000
Mn 0.7950 0.5478 0.5000
Cu 0.7134 0.9477 0.0000
Cu 0.2344 0.2866 0.0000
Cu 0.0523 0.7656 0.0000
Cu 0.9441 0.4463 0.0000
Cu 0.5021 0.0559 0.0000
Cu 0.5537 0.4979 0.0000
Cu 0.0902 0.3703 0.5000
Cu 0.2800 0.9098 0.5000
Cu 0.6297 0.7200 0.5000
P 0.9502 0.2044 0.0000
P 0.2542 0.0498 0.0000
P 0.7956 0.7458 0.0000
P 0.0764 0.6241 0.5000
P 0.5477 0.9236 0.5000
P 0.3759 0.4523 0.5000
P 0.6667 0.3333 0.0000

## Properties
The value obtained for the total energy is -5.7419 eV/atom. The value obtained for the formation energy is -0.418 eV per atom. The space group is P-6.

***

Record 3
The following is a DFT calculation (PBE) of an optimized crystal structure of KNaSe.

Lattice parameters (Å, degrees): 4.8542 8.1414 8.7792 90.00 90.00 90.00
Fractional coordinates of all 12 atoms:
K 0.7500 0.5136 0.6848
K 0.7500 0.0136 0.8152
K 0.2500 0.4864 0.3152
K 0.2500 0.9864 0.1848
Na 0.7500 0.1464 0.4249
Na 0.2500 0.8536 0.5751
Na 0.2500 0.3536 0.9249
Na 0.7500 0.6464 0.0751
Se 0.7500 0.7793 0.3950
Se 0.2500 0.2207 0.6050
Se 0.7500 0.2793 0.1050
Se 0.2500 0.7207 0.8950

## Properties
The value obtained for the total energy is -3.0729 eV/atom. The value obtained for the formation energy is -1.254 eV per atom. As for the total energy after the MP2020 corrections: -3.23 eV/atom. The space group is Pnma.

***

Record 4
The following is a DFT calculation (PBE) of an optimized crystal structure of Cu10Sn3.

Lattice parameters (Å, degrees): 7.3405 7.3405 7.8727 90.00 90.00 120.00
Fractional coordinates of all 26 atoms:
Cu 0.0000 0.0000 0.5000
Cu 0.0000 0.0000 0.0000
Cu 0.3333 0.6667 0.0804
Cu 0.6667 0.3333 0.5804
Cu 0.3333 0.6667 0.4196
Cu 0.6667 0.3333 0.9196
Cu 0.3333 0.6667 0.7500
Cu 0.6667 0.3333 0.2500
Cu 0.3299 0.9709 0.5861
Cu 0.0291 0.3591 0.5861
Cu 0.6409 0.6701 0.5861
Cu 0.6701 0.0291 0.0861
Cu 0.9709 0.6409 0.0861
Cu 0.3591 0.3299 0.0861
Cu 0.6701 0.0291 0.4139
Cu 0.9709 0.6409 0.4139
Cu 0.3591 0.3299 0.4139
Cu 0.3299 0.9709 0.9139
Cu 0.0291 0.3591 0.9139
Cu 0.6409 0.6701 0.9139
Sn 0.2914 0.9764 0.2500
Sn 0.0236 0.3150 0.2500
Sn 0.6850 0.7086 0.2500
Sn 0.7086 0.0236 0.7500
Sn 0.9764 0.6850 0.7500
Sn 0.3150 0.2914 0.7500

## Properties
The value obtained for the total energy is -4.0633 eV/atom. The value obtained for the formation energy is 0.015 eV per atom. The space group is P6_3/m.

***

Record 5
The following is a DFT calculation (PBE) of an optimized crystal structure of ReHC4O4.

Lattice parameters (Å, degrees): 15.4515 15.4515 7.1936 90.00 90.00 120.00
Fractional coordinates of all 90 atoms:
Re 0.0991 0.0164 0.4746
Re 0.9836 0.0827 0.8079
Re 0.9173 0.9009 0.1413
Re 0.4367 0.6999 0.7203
Re 0.3001 0.7368 0.0537
Re 0.2632 0.5633 0.3870
Re 0.5652 0.3133 0.9430
Re 0.6867 0.2519 0.2764
Re 0.7481 0.4348 0.6097
H 0.0081 0.0058 0.2903
H 0.9942 0.0023 0.6236
H 0.9977 0.9919 0.9570
H 0.3421 0.6766 0.5331
H 0.3234 0.6655 0.8665
H 0.3345 0.6579 0.1998
H 0.6757 0.3393 0.7950
H 0.6607 0.3364 0.1283
H 0.6636 0.3243 0.4616
C 0.1928 0.0132 0.2989
C 0.9868 0.1796 0.6322
C 0.8204 0.8072 0.9656
C 0.0468 0.8730 0.5424
C 0.1270 0.1738 0.8757
C 0.8262 0.9532 0.2091
C 0.1954 0.0488 0.6721
C 0.9512 0.1466 0.0054
C 0.8534 0.8046 0.3388
C 0.1527 0.1601 0.4079
C 0.8399 0.9926 0.7413
C 0.0074 0.8473 0.0746
C 0.5370 0.7429 0.9135
C 0.2571 0.7941 0.2469
C 0.2059 0.4630 0.5802
C 0.5345 0.7145 0.5354
C 0.2855 0.8200 0.8687
C 0.1800 0.4655 0.2020
C 0.4049 0.5604 0.7773
C 0.4396 0.8444 0.1107
C 0.1556 0.5951 0.4440
C 0.4796 0.8440 0.6760
C 0.1560 0.6357 0.0094
C 0.3643 0.5204 0.3427
C 0.4759 0.3036 0.7447
C 0.6964 0.1723 0.0781
C 0.8277 0.5241 0.4114
C 0.4553 0.2759 0.1150
C 0.7241 0.1794 0.4483
C 0.8206 0.5447 0.7817
C 0.5191 0.1691 0.8965
C 0.8309 0.3500 0.2299
C 0.6500 0.4809 0.5632
C 0.6063 0.4563 0.9939
C 0.5437 0.1500 0.3273
C 0.8500 0.3937 0.6606
O 0.2517 0.0141 0.1971
O 0.9859 0.2376 0.5304
O 0.7624 0.7483 0.8638
O 0.0214 0.7916 0.5865
O 0.2084 0.2297 0.9199
O 0.7703 0.9786 0.2532
O 0.2535 0.0659 0.7899
O 0.9341 0.1876 0.1233
O 0.8124 0.7465 0.4566
O 0.1862 0.2431 0.3658
O 0.7569 0.9432 0.6991
O 0.0568 0.8138 0.0324
O 0.5993 0.7687 0.0260
O 0.2313 0.8306 0.3593
O 0.1694 0.4007 0.6926
O 0.5940 0.7252 0.4249
O 0.2748 0.8688 0.7583
O 0.1312 0.4060 0.0916
O 0.3932 0.4824 0.8153
O 0.5176 0.9108 0.1486
O 0.0892 0.6068 0.4820
O 0.5133 0.9290 0.6540
O 0.0710 0.5843 0.9873
O 0.4157 0.4867 0.3206
O 0.4186 0.2929 0.6293
O 0.7071 0.1257 0.9627
O 0.8743 0.5814 0.2960
O 0.3872 0.2555 0.2109
O 0.7445 0.1317 0.5442
O 0.8683 0.6128 0.8775
O 0.4868 0.0845 0.8708
O 0.9155 0.4023 0.2042
O 0.5977 0.5132 0.5375
O 0.6240 0.5371 0.0241
O 0.4629 0.0869 0.3575
O 0.9131 0.3760 0.6908

## Properties
The value obtained for the total energy is -7.8852 eV/atom. The value obtained for the formation energy is -0.906 eV per atom. As for the total energy after the MP2020 corrections: -8.16 eV/atom. The space group is P3_1.

***

Record 6
The following is a DFT calculation (PBE) of an optimized crystal structure of Li10SnP2O12.

Lattice parameters (Å, degrees): 7.1468 7.1468 10.8253 90.00 90.00 90.00
Fractional coordinates of all 50 atoms:
Li 0.2002 0.2666 0.2940
Li 0.7998 0.7334 0.2940
Li 0.2666 0.7998 0.7940
Li 0.7334 0.2002 0.7940
Li 0.2002 0.7334 0.2940
Li 0.7998 0.2666 0.2940
Li 0.2666 0.2002 0.7940
Li 0.7334 0.7998 0.7940
Li 0.0000 0.0000 0.9308
Li 0.0000 0.0000 0.4308
Li 0.5000 0.5000 0.5589
Li 0.5000 0.5000 0.0589
Li 0.2332 0.6913 0.0499
Li 0.7668 0.3087 0.0499
Li 0.3087 0.2332 0.5499
Li 0.6913 0.7668 0.5499
Li 0.3087 0.7668 0.5499
Li 0.6913 0.2332 0.5499
Li 0.2332 0.3087 0.0499
Li 0.7668 0.6913 0.0499
Sn 0.5000 0.5000 0.8100
Sn 0.5000 0.5000 0.3100
P 0.0000 0.0000 0.6783
P 0.0000 0.0000 0.1783
P 0.0000 0.5000 0.4933
P 0.5000 0.0000 0.9933
O 0.0000 0.6827 0.4108
O 0.0000 0.3173 0.4108
O 0.3173 0.0000 0.9108
O 0.6827 0.0000 0.9108
O 0.5000 0.1858 0.0678
O 0.5000 0.8142 0.0678
O 0.1858 0.5000 0.5678
O 0.8142 0.5000 0.5678
O 0.0000 0.8228 0.0937
O 0.0000 0.1772 0.0937
O 0.1772 0.0000 0.5937
O 0.8228 0.0000 0.5937
O 0.5000 0.2858 0.4244
O 0.5000 0.7142 0.4244
O 0.2858 0.5000 0.9244
O 0.7142 0.5000 0.9244
O 0.0000 0.1731 0.7648
O 0.0000 0.8269 0.7648
O 0.8269 0.0000 0.2648
O 0.1731 0.0000 0.2648
O 0.5000 0.7207 0.6984
O 0.5000 0.2793 0.6984
O 0.7207 0.5000 0.1984
O 0.2793 0.5000 0.1984

## Properties
The value obtained for the total energy is -5.8076 eV/atom. The value obtained for the formation energy is -2.405 eV per atom. As for the total energy after the MP2020 corrections: -6.14 eV/atom. The space group is P4_2mc.

***

Record 7
The following is a DFT calculation (PBE) of an optimized crystal structure of MgTlCu2Se2O10.

Lattice parameters (Å, degrees): 6.0740 6.0739 8.7190 60.48 119.52 116.30
Fractional coordinates of all 16 atoms:
Mg 0.5626 0.4374 0.1616
Tl 0.5062 0.4939 0.5362
Cu 0.9997 0.5000 0.0070
Cu 0.5000 0.0004 0.0070
Se 0.9179 0.0822 0.7125
Se 0.0953 0.9046 0.2957
O 0.8243 0.1759 0.8159
O 0.1935 0.8064 0.1971
O 0.7933 0.2067 0.4779
O 0.2057 0.7942 0.5257
O 0.2528 0.1836 0.7798
O 0.8164 0.7472 0.7799
O 0.7558 0.7947 0.2157
O 0.2053 0.2442 0.2157
O 0.3208 0.6792 0.9750
O 0.6964 0.3037 0.0688

## Properties
The value obtained for the total energy is -5.1243 eV/atom. The value obtained for the formation energy is -1.264 eV per atom. As for the total energy after the MP2020 corrections: -5.55 eV/atom. The space group is Cm.

***

Record 8
The following is a DFT calculation (PBE) of an optimized crystal structure of Hg2Te2O7.

Lattice parameters (Å, degrees): 13.9356 13.9356 7.5780 90.00 90.00 119.83
Fractional coordinates of all 88 atoms:
Hg 0.2358 0.7269 0.5203
Hg 0.4949 0.7543 0.9536
Hg 0.7543 0.4949 0.0464
Hg 0.7269 0.2358 0.4797
Hg 0.2518 0.0117 0.9517
Hg 0.2836 0.2836 0.0000
Hg 0.2917 0.2917 0.5000
Hg 0.7917 0.7917 0.0000
Hg 0.7358 0.2269 0.9797
Hg 0.2543 0.9949 0.4536
Hg 0.9949 0.2543 0.5464
Hg 0.0117 0.2518 0.0483
Hg 0.5117 0.7518 0.4517
Hg 0.7836 0.7836 0.5000
Hg 0.7518 0.5117 0.5483
Hg 0.2269 0.7358 0.0203
Te 0.4647 0.9675 0.7395
Te 0.0425 0.0410 0.2500
Te 0.9675 0.4647 0.2605
Te 0.5410 0.5425 0.7500
Te 0.7554 0.0311 0.2497
Te 0.9647 0.4675 0.7605
Te 0.2499 0.4797 0.7569
Te 0.0311 0.7554 0.7503
Te 0.7499 0.9797 0.7431
Te 0.9797 0.7499 0.2569
Te 0.2554 0.5311 0.2503
Te 0.4797 0.2499 0.2431
Te 0.5311 0.2554 0.7497
Te 0.5425 0.5410 0.2500
Te 0.0410 0.0425 0.7500
Te 0.4675 0.9647 0.2395
O 0.0649 0.9179 0.7096
O 0.5649 0.4179 0.7904
O 0.6958 0.6313 0.6948
O 0.9507 0.5907 0.1901
O 0.3771 0.2094 0.4411
O 0.1958 0.1313 0.8052
O 0.6629 0.5074 0.2733
O 0.0907 0.4507 0.6901
O 0.8674 0.3107 0.7331
O 0.1360 0.8203 0.9451
O 0.2094 0.3771 0.5589
O 0.8771 0.7094 0.0589
O 0.0717 0.6281 0.7824
O 0.3832 0.1906 0.0442
O 0.5074 0.6629 0.7267
O 0.5871 0.5871 0.0000
O 0.4434 0.3817 0.1959
O 0.7094 0.8771 0.9411
O 0.4403 0.9932 0.9923
O 0.5000 0.8455 0.1952
O 0.5907 0.9507 0.8099
O 0.3203 0.6360 0.4451
O 0.5717 0.1281 0.7176
O 0.4953 0.4953 0.5000
O 0.6906 0.8832 0.5442
O 0.9434 0.8817 0.3041
O 0.8455 0.5000 0.8048
O 0.7931 0.1248 0.4549
O 0.3455 0.0000 0.6952
O 0.4932 0.9403 0.4923
O 0.9932 0.4403 0.0077
O 0.8203 0.1360 0.0549
O 0.1248 0.7931 0.5451
O 0.6313 0.6958 0.3052
O 0.2931 0.6248 0.0451
O 0.9179 0.0649 0.2904
O 0.0871 0.0871 0.5000
O 0.4507 0.0907 0.3099
O 0.8817 0.9434 0.6959
O 0.9403 0.4932 0.5077
O 0.0000 0.3455 0.3048
O 0.6281 0.0717 0.2176
O 0.8832 0.6906 0.4558
O 0.0074 0.1629 0.7733
O 0.1629 0.0074 0.2267
O 0.6248 0.2931 0.9549
O 0.3107 0.8674 0.2669
O 0.8107 0.3674 0.2331
O 0.1281 0.5717 0.2824
O 0.3674 0.8107 0.7669
O 0.6360 0.3203 0.5549
O 0.3817 0.4434 0.8041
O 0.9953 0.9953 0.0000
O 0.1313 0.1958 0.1948
O 0.1906 0.3832 0.9558
O 0.4179 0.5649 0.2096

## Properties
The value obtained for the total energy is -4.5118 eV/atom. The value obtained for the formation energy is -1.174 eV per atom. As for the total energy after the MP2020 corrections: -4.95 eV/atom. The space group is Aea2.

***

Record 9
The following is a DFT calculation (PBE) of an optimized crystal structure of LiZnSb4O8.

Lattice parameters (Å, degrees): 3.5529 8.6519 10.5348 51.72 59.70 65.82
Fractional coordinates of all 14 atoms:
Li 0.9934 0.3400 0.2314
Zn 0.3293 0.0386 0.1740
Sb 0.3014 0.2682 0.5488
Sb 0.2269 0.7376 0.1134
Sb 0.9518 0.3815 0.8598
Sb 0.3537 0.8558 0.5451
O 0.8487 0.6808 0.7333
O 0.7408 0.3569 0.7134
O 0.5428 0.7412 0.2336
O 0.2525 0.4247 0.3092
O 0.0747 0.0248 0.6509
O 0.9988 0.0402 0.0625
O 0.9928 0.0544 0.3844
O 0.2912 0.3626 0.0053

## Properties
The value obtained for the total energy is -5.5377 eV/atom. The value obtained for the formation energy is -1.697 eV per atom. As for the total energy after the MP2020 corrections: -5.93 eV/atom. The space group is P1.

***

Number 3 is which compound? KNaSe